Pr5Mg41 PBE optimized geometry; magnetization = 0.0 Bohr magnetons per cell; formation enthalpy at 0 K = -0.0619 eV per atom
1.0
-7.366 7.366 5.240
7.366 -7.366 5.240
7.366 7.366 -5.240
Pr Mg
5 41
Direct
0.000 0.000 0.000
0.236 0.429 0.666
0.429 0.764 0.193
0.571 0.236 0.807
0.764 0.571 0.334
0.000 0.000 0.500
0.000 0.500 0.000
0.010 0.597 0.607
0.080 0.914 0.288
0.086 0.373 0.166
0.108 0.665 0.290
0.122 0.221 0.343
0.174 0.387 0.941
0.182 0.892 0.557
0.208 0.920 0.834
0.217 0.659 0.876
0.221 0.878 0.099
0.233 0.174 0.787
0.335 0.625 0.443
0.341 0.217 0.558
0.373 0.208 0.288
0.375 0.818 0.710
0.387 0.446 0.213
0.403 0.010 0.412
0.446 0.233 0.059
0.500 0.000 0.000
0.500 0.500 0.000
0.500 0.500 0.500
0.554 0.767 0.941
0.597 0.990 0.588
0.613 0.554 0.787
0.625 0.182 0.290
0.627 0.792 0.712
0.659 0.783 0.442
0.665 0.375 0.557
0.767 0.826 0.213
0.779 0.122 0.901
0.783 0.341 0.124
0.792 0.080 0.166
0.818 0.108 0.443
0.826 0.613 0.059
0.878 0.779 0.657
0.892 0.335 0.710
0.914 0.627 0.834
0.920 0.086 0.712
0.990 0.403 0.393